! GGA-PBE HoBiPd, optimized geometry; values from VASP
&SYSTEM
  ibrav = 0, nat = 12, ntyp = 3
/
ATOMIC_SPECIES
Ho 164.93 Ho.upf
Bi 208.98 Bi.upf
Pd 106.42 Pd.upf
ATOMIC_POSITIONS crystal
Ho 0.0000 0.0000 0.0000
Ho 0.0000 0.5000 0.5000
Ho 0.5000 0.0000 0.5000
Ho 0.5000 0.5000 0.0000
Bi 0.0000 0.0000 0.5000
Bi 0.0000 0.5000 0.0000
Bi 0.5000 0.0000 0.0000
Bi 0.5000 0.5000 0.5000
Pd 0.2500 0.2500 0.7500
Pd 0.2500 0.7500 0.2500
Pd 0.7500 0.2500 0.2500
Pd 0.7500 0.7500 0.7500
CELL_PARAMETERS angstrom
6.7122 0.0000 0.0000
0.0000 6.7122 0.0000
0.0000 0.0000 6.7122
! * mass density: 10.55 g/cm³
! * ΔH_f (0 K): -0.932 eV/atom
! * calculated total energy: -5.4830 eV per atom

=====

! GGA-PBE GdErIr2, optimized geometry; values from VASP
&SYSTEM
  ibrav = 0, nat = 16, ntyp = 3
/
ATOMIC_SPECIES
Gd 157.25 Gd.upf
Er 167.26 Er.upf
Ir 192.22 Ir.upf
ATOMIC_POSITIONS crystal
Gd 0.0000 0.0000 0.0000
Gd 0.0000 0.5000 0.5000
Gd 0.5000 0.0000 0.5000
Gd 0.5000 0.5000 0.0000
Er 0.0000 0.0000 0.5000
Er 0.0000 0.5000 0.0000
Er 0.5000 0.0000 0.0000
Er 0.5000 0.5000 0.5000
Ir 0.2500 0.2500 0.2500
Ir 0.2500 0.2500 0.7500
Ir 0.2500 0.7500 0.2500
Ir 0.2500 0.7500 0.7500
Ir 0.7500 0.2500 0.2500
Ir 0.7500 0.2500 0.7500
Ir 0.7500 0.7500 0.2500
Ir 0.7500 0.7500 0.7500
CELL_PARAMETERS angstrom
6.8638 0.0000 0.0000
0.0000 6.8638 0.0000
0.0000 0.0000 6.8638
! * mass density: 14.56 g/cm³
! * ΔH_f (0 K): -0.819 eV/atom
! * calculated total energy: -9.8994 eV per atom

=====

! GGA-PBE RbReO3, optimized geometry; values from VASP
&SYSTEM
  ibrav = 0, nat = 5, ntyp = 3
/
ATOMIC_SPECIES
Rb 85.47 Rb.upf
Re 186.21 Re.upf
O 16.00 O.upf
ATOMIC_POSITIONS crystal
Rb 0.0000 0.0000 0.0000
Re 0.5000 0.5000 0.5000
O 0.0000 0.5000 0.5000
O 0.5000 0.0000 0.5000
O 0.5000 0.5000 0.0000
CELL_PARAMETERS angstrom
3.9841 0.0000 0.0000
0.0000 3.9841 0.0000
0.0000 0.0000 3.9841
! * mass density: 8.39 g/cm³
! * ΔH_f (0 K): -1.974 eV/atom
! * calculated total energy: -7.2155 eV per atom

=====

! GGA-PBE K2HgHCl4, optimized geometry; values from VASP
&SYSTEM
  ibrav = 0, nat = 16, ntyp = 4
/
ATOMIC_SPECIES
K 39.10 K.upf
Hg 200.59 Hg.upf
H 1.01 H.upf
Cl 35.45 Cl.upf
ATOMIC_POSITIONS crystal
K 0.0941 0.1809 0.0000
K 0.4059 0.6809 0.0000
K 0.5941 0.3191 0.0000
K 0.9059 0.8191 0.0000
Hg 0.0000 0.5000 0.5000
Hg 0.5000 0.0000 0.5000
H 0.0000 0.0000 0.5000
H 0.5000 0.5000 0.5000
Cl 0.1203 0.6905 0.5000
Cl 0.2278 0.4409 0.0000
Cl 0.2722 0.9409 0.0000
Cl 0.3797 0.1905 0.5000
Cl 0.6203 0.8095 0.5000
Cl 0.7278 0.0591 0.0000
Cl 0.7722 0.5591 0.0000
Cl 0.8797 0.3095 0.5000
CELL_PARAMETERS angstrom
7.8615 0.0000 0.0000
0.0000 12.0072 0.0000
0.0000 0.0000 4.5632
! * mass density: 3.25 g/cm³
! * ΔH_f (0 K): -1.234 eV/atom
! * calculated total energy: -2.5905 eV per atom

=====

! GGA-PBE HfAl3Ni12, optimized geometry; values from VASP
&SYSTEM
  ibrav = 0, nat = 16, ntyp = 3
/
ATOMIC_SPECIES
Hf 178.49 Hf.upf
Al 26.98 Al.upf
Ni 58.69 Ni.upf
ATOMIC_POSITIONS crystal
Hf 0.0000 0.0000 0.0000
Al 0.0000 0.0000 0.2552
Al 0.0000 0.0000 0.5000
Al 0.0000 0.0000 0.7448
Ni 0.0000 0.5000 0.1332
Ni 0.0000 0.5000 0.3769
Ni 0.0000 0.5000 0.6231
Ni 0.0000 0.5000 0.8668
Ni 0.5000 0.0000 0.1332
Ni 0.5000 0.0000 0.3769
Ni 0.5000 0.0000 0.6231
Ni 0.5000 0.0000 0.8668
Ni 0.5000 0.5000 0.0000
Ni 0.5000 0.5000 0.2550
Ni 0.5000 0.5000 0.5000
Ni 0.5000 0.5000 0.7450
CELL_PARAMETERS angstrom
3.6212 0.0000 0.0000
0.0000 3.6212 0.0000
0.0000 0.0000 14.2730
! * mass density: 8.55 g/cm³
! * ΔH_f (0 K): -0.456 eV/atom
! * calculated total energy: -6.1162 eV per atom

=====

! GGA-PBE Rb2MnBi2, optimized geometry; values from VASP
&SYSTEM
  ibrav = 0, nat = 5, ntyp = 3
/
ATOMIC_SPECIES
Rb 85.47 Rb.upf
Mn 54.94 Mn.upf
Bi 208.98 Bi.upf
ATOMIC_POSITIONS crystal
Rb 0.0000 0.0000 0.1356
Rb 0.0000 0.0000 0.8644
Mn 0.0000 0.0000 0.5000
Bi 0.0000 0.0000 0.3428
Bi 0.0000 0.0000 0.6572
CELL_PARAMETERS angstrom
3.7412 0.0000 0.0000
0.0000 3.7412 0.0000
0.0000 0.0000 16.9359
! * mass density: 4.51 g/cm³
! * ΔH_f (0 K): 0.525 eV/atom
! * calculated total energy: -3.2556 eV per atom

=====

! GGA-PBE MgAg14Pb6O18, optimized geometry; values from VASP
&SYSTEM
  ibrav = 0, nat = 39, ntyp = 4
/
ATOMIC_SPECIES
Mg 24.30 Mg.upf
Ag 107.87 Ag.upf
Pb 207.20 Pb.upf
O 16.00 O.upf
ATOMIC_POSITIONS crystal
Mg 0.0000 0.0000 0.0000
Ag 0.1066 0.8921 0.2705
Ag 0.1641 0.4981 0.8057
Ag 0.2750 0.0949 0.9002
Ag 0.3222 0.6731 0.0033
Ag 0.4056 0.2632 0.5674
Ag 0.4912 0.8237 0.1492
Ag 0.5646 0.4293 0.2426
Ag 0.5715 0.9205 0.7143
Ag 0.6716 0.0147 0.3145
Ag 0.7232 0.5774 0.9056
Ag 0.8078 0.1662 0.4876
Ag 0.9046 0.2814 0.0858
Ag 0.9192 0.7233 0.5626
Ag 0.9983 0.3287 0.6693
Pb 0.2447 0.2579 0.2439
Pb 0.2473 0.9201 0.5747
Pb 0.5693 0.5852 0.5684
Pb 0.5790 0.2541 0.9082
Pb 0.8718 0.8699 0.8563
Pb 0.9140 0.5843 0.2425
O 0.1784 0.5228 0.2147
O 0.1975 0.9197 0.8421
O 0.2271 0.1926 0.5125
O 0.2789 0.9849 0.3055
O 0.3039 0.6559 0.6015
O 0.3056 0.2784 0.9777
O 0.5139 0.2427 0.1803
O 0.5222 0.8566 0.5352
O 0.5476 0.5280 0.8349
O 0.5874 0.3173 0.6338
O 0.5994 0.9848 0.9074
O 0.6380 0.6042 0.3016
O 0.8431 0.5504 0.5124
O 0.8518 0.2015 0.9110
O 0.9152 0.5998 0.9805
O 0.9156 0.8509 0.1981
O 0.9732 0.3113 0.2750
O 0.9817 0.9224 0.5870
CELL_PARAMETERS angstrom
9.0133 0.0000 0.0000
3.0019 8.5142 0.0000
2.9727 2.1105 8.3570
! * energy above the lowest structure with this stoichiometry: 0.058 eV per atom
! * mass density: 7.94 g/cm³
! * ΔH_f (0 K): -0.824 eV/atom
! * calculated total energy: -4.4199 eV per atom

=====

! GGA-PBE Ca2P2O7, optimized geometry; values from VASP
&SYSTEM
  ibrav = 0, nat = 44, ntyp = 3
/
ATOMIC_SPECIES
Ca 40.08 Ca.upf
P 30.97 P.upf
O 16.00 O.upf
ATOMIC_POSITIONS crystal
Ca 0.0018 0.1826 0.2572
Ca 0.0018 0.3174 0.7572
Ca 0.3366 0.1127 0.5900
Ca 0.3366 0.3873 0.0900
Ca 0.6634 0.6127 0.9100
Ca 0.6634 0.8873 0.4100
Ca 0.9982 0.6826 0.2428
Ca 0.9982 0.8174 0.7428
P 0.2347 0.7363 0.0271
P 0.2347 0.7637 0.5271
P 0.4621 0.5137 0.6817
P 0.4621 0.9863 0.1817
P 0.5379 0.0137 0.8183
P 0.5379 0.4863 0.3183
P 0.7653 0.2363 0.4729
P 0.7653 0.2637 0.9729
O 0.0517 0.7484 0.4145
O 0.0517 0.7516 0.9145
O 0.0865 0.6471 0.0873
O 0.0865 0.8529 0.5873
O 0.2806 0.1048 0.7666
O 0.2806 0.3952 0.2666
O 0.2868 0.5272 0.7477
O 0.2868 0.9728 0.2477
O 0.2965 0.5862 0.5690
O 0.2965 0.9138 0.0690
O 0.4721 0.6539 0.3382
O 0.4721 0.8461 0.8382
O 0.4950 0.6525 0.0431
O 0.4950 0.8475 0.5431
O 0.5050 0.1525 0.4569
O 0.5050 0.3475 0.9569
O 0.5279 0.1539 0.1618
O 0.5279 0.3461 0.6618
O 0.7035 0.0862 0.9310
O 0.7035 0.4138 0.4310
O 0.7132 0.0272 0.7523
O 0.7132 0.4728 0.2523
O 0.7194 0.6048 0.7334
O 0.7194 0.8952 0.2334
O 0.9135 0.1471 0.4127
O 0.9135 0.3529 0.9127
O 0.9483 0.2484 0.0855
O 0.9483 0.2516 0.5855
CELL_PARAMETERS angstrom
5.4422 0.0000 0.0000
0.0000 8.5311 0.0000
-4.9842 0.0000 12.9210
! * mass density: 2.81 g/cm³
! * ΔH_f (0 K): -3.214 eV/atom
! * calculated total energy: -7.2742 eV per atom

=====

! GGA-PBE Ba2As6O11, optimized geometry; values from VASP
&SYSTEM
  ibrav = 0, nat = 19, ntyp = 3
/
ATOMIC_SPECIES
Ba 137.33 Ba.upf
As 74.92 As.upf
O 16.00 O.upf
ATOMIC_POSITIONS crystal
Ba 0.0000 0.0000 0.0000
Ba 0.2215 0.5020 0.5935
As 0.2296 0.9924 0.3589
As 0.3754 0.5511 0.0493
As 0.5738 0.8247 0.9739
As 0.6359 0.1351 0.4064
As 0.7297 0.3838 0.6856
As 0.8575 0.5114 0.2156
O 0.0181 0.1468 0.3135
O 0.2366 0.6683 0.8835
O 0.3598 0.1623 0.4259
O 0.3606 0.9954 0.1007
O 0.5781 0.3679 0.9300
O 0.5957 0.1757 0.6427
O 0.6253 0.4120 0.3222
O 0.7209 0.7601 0.1541
O 0.8628 0.7110 0.5506
O 0.9559 0.2640 0.7379
O 0.9643 0.6151 0.3778
CELL_PARAMETERS angstrom
7.0223 0.0000 0.0000
1.4589 6.8807 0.0000
2.0812 0.6690 7.1710
! * energy above the lowest structure with this stoichiometry: 0.633 eV per atom
! * mass density: 4.31 g/cm³
! * ΔH_f (0 K): -1.433 eV/atom
! * calculated total energy: -5.8778 eV per atom

=====

! GGA-PBE Mg2Sn, optimized geometry; values from VASP
&SYSTEM
  ibrav = 0, nat = 12, ntyp = 2
/
ATOMIC_SPECIES
Mg 24.30 Mg.upf
Sn 118.71 Sn.upf
ATOMIC_POSITIONS crystal
Mg 0.0000 0.0570 0.2500
Mg 0.0000 0.2764 0.7500
Mg 0.0000 0.7236 0.2500
Mg 0.0000 0.9430 0.7500
Mg 0.5000 0.2236 0.2500
Mg 0.5000 0.4430 0.7500
Mg 0.5000 0.5570 0.2500
Mg 0.5000 0.7764 0.7500
Sn 0.0000 0.3883 0.2500
Sn 0.0000 0.6117 0.7500
Sn 0.5000 0.1117 0.7500
Sn 0.5000 0.8883 0.2500
CELL_PARAMETERS angstrom
3.4693 0.0000 0.0000
0.0000 15.8468 0.0000
0.0000 0.0000 5.1488
! * mass density: 3.93 g/cm³
! * ΔH_f (0 K): -0.093 eV/atom
! * calculated total energy: -2.4964 eV per atom

=====

! GGA-PBE Co5Ge7, optimized geometry; values from VASP
&SYSTEM
  ibrav = 0, nat = 12, ntyp = 2
/
ATOMIC_SPECIES
Co 58.93 Co.upf
Ge 72.64 Ge.upf
ATOMIC_POSITIONS crystal
Co 0.0000 0.0000 0.0000
Co 0.2873 0.2873 0.4687
Co 0.2873 0.8186 0.0000
Co 0.8186 0.2873 0.0000
Co 0.8186 0.8186 0.5313
Ge 0.0030 0.7625 0.2405
Ge 0.0204 0.5204 0.5000
Ge 0.3805 0.3805 0.0000
Ge 0.5204 0.0204 0.5000
Ge 0.5219 0.7625 0.7595
Ge 0.7625 0.0030 0.2405
Ge 0.7625 0.5219 0.7595
CELL_PARAMETERS angstrom
-3.9955 3.9955 2.9269
3.9955 -3.9955 2.9269
3.9955 3.9955 -2.9269
! * mass density: 7.14 g/cm³
! * ΔH_f (0 K): 0.383 eV/atom
! * calculated total energy: -5.2761 eV per atom

=====

! GGA-PBE MgAl2O4, optimized geometry; values from VASP
&SYSTEM
  ibrav = 0, nat = 14, ntyp = 3
/
ATOMIC_SPECIES
Mg 24.30 Mg.upf
Al 26.98 Al.upf
O 16.00 O.upf
ATOMIC_POSITIONS crystal
Mg 0.0000 0.0000 0.0000
Mg 0.0000 0.5000 0.5000
Al 0.0000 0.0000 0.7648
Al 0.0000 0.5000 0.2648
Al 0.5000 0.0000 0.2479
Al 0.5000 0.5000 0.7479
O 0.0000 0.2221 0.1601
O 0.0000 0.2779 0.6601
O 0.0000 0.7221 0.6601
O 0.0000 0.7779 0.1601
O 0.5000 0.2210 0.8642
O 0.5000 0.2790 0.3642
O 0.5000 0.7210 0.3642
O 0.5000 0.7790 0.8642
CELL_PARAMETERS angstrom
2.8206 0.0000 0.0000
0.0000 5.1598 0.0000
0.0000 0.0000 10.3754
! * energy above the lowest structure with this stoichiometry: 0.628 eV per atom
! * mass density: 3.13 g/cm³
! * ΔH_f (0 K): -2.746 eV/atom
! * calculated total energy: -6.4798 eV per atom

=====

Question: Among the records above, which one has the highest mass density?
Answer: GdErIr2